1.
! Sr2LiB10H3O19 | the Materials Project database | r²SCAN | relaxed; values from VASP
&SYSTEM
  ibrav = 0, nat = 70, ntyp = 5
/
ATOMIC_SPECIES
B 10.81 B.upf
O 16.00 O.upf
Sr 87.62 Sr.upf
Li 6.94 Li.upf
H 1.01 H.upf
CELL_PARAMETERS angstrom
0.380 -6.243 -2.211
-9.640 -4.826 2.118
-7.719 5.282 -6.114
ATOMIC_POSITIONS angstrom
B -1.899 -1.187 -0.414
B -5.137 -1.036 -1.549
B -14.928 -0.802 -3.819
B -15.166 -4.577 -5.793
B -11.067 0.575 -4.337
B -5.552 -1.343 -5.948
B -10.024 1.614 -6.307
B -8.351 -6.741 -1.769
B -8.653 0.943 -4.383
B -11.530 -3.356 -2.516
B -9.322 -3.611 -1.460
B -1.960 -4.988 -2.360
B -5.459 -2.380 -3.688
B -12.030 -0.887 -2.692
B -4.976 -4.868 -3.498
B -11.414 -4.440 -0.277
B -7.622 -2.181 -4.824
B -5.929 -6.365 -1.855
B -11.830 -4.718 -4.643
B -6.938 -7.395 0.134
O -7.237 -6.511 -2.501
O -2.050 -0.915 -1.843
O -11.987 -4.383 -1.617
O -7.004 -1.689 -5.917
O -5.123 0.245 -2.087
O -14.361 -3.480 -6.334
O -12.179 -2.078 -2.064
O -2.129 -3.832 -1.645
O -11.990 -3.604 -3.893
O -11.581 -4.586 -5.989
O -11.682 -0.731 -3.991
O -6.919 -2.520 -3.684
O -10.064 -3.189 -2.530
O -4.990 -1.361 -4.590
O -15.127 0.421 -4.424
O -1.973 -6.239 -1.828
O -5.378 -5.035 -2.216
O -5.947 -6.464 -0.423
O -9.592 -6.742 -2.398
O -5.404 -1.176 -0.209
O -14.765 -1.961 -4.530
O -2.690 -2.302 0.084
O -8.993 -2.356 -4.829
O -7.408 0.884 -3.752
O -9.901 -4.217 -0.389
O -11.030 0.676 -5.769
O -9.772 0.658 -3.663
O -8.318 -6.962 -0.420
O -8.692 1.284 -5.685
O -14.948 -4.859 -4.395
O -4.990 -2.146 -2.308
O -1.860 -4.775 -3.720
O -8.163 3.871 -6.293
O -14.935 -0.969 -2.468
O -4.810 -3.677 -4.122
O -11.825 -5.996 -4.094
O -7.953 -3.450 -1.445
O -8.876 -9.619 0.093
Sr -4.853 1.292 -4.465
Sr -12.153 -7.095 -1.734
Sr -11.152 -2.002 -6.210
Sr -5.765 -3.741 0.011
Li -8.995 -5.458 0.658
Li -7.619 2.008 -7.107
H -9.048 -9.479 -0.850
H -9.510 -6.476 -3.326
H -7.595 -3.088 -2.304
H -7.953 4.078 -5.357
H -7.495 0.549 -2.848
H -9.341 -2.673 -3.956
! * calculated formation energy: -2.56 eV/atom
! * spin magnetization: 0.00 μB per cell



2.
! YbAu4 | the Materials Project database | r²SCAN | relaxed; values from VASP
&SYSTEM
  ibrav = 0, nat = 5, ntyp = 2
/
ATOMIC_SPECIES
Yb 173.04 Yb.upf
Au 196.97 Au.upf
CELL_PARAMETERS angstrom
5.059 0.083 -1.053
-3.164 -3.704 1.726
-1.854 0.506 -4.798
ATOMIC_POSITIONS angstrom
Yb 0.000 0.000 0.000
Au -1.363 -1.159 -2.398
Au 0.921 -0.286 -4.129
Au 1.403 -1.956 -1.727
Au -0.880 -2.829 0.005
! * calculated formation energy: -0.67 eV/atom
! * spin magnetization: 0.00 μB per cell



3.
! Ta2CrOs | the Materials Project database | r²SCAN | relaxed; values from VASP
&SYSTEM
  ibrav = 0, nat = 4, ntyp = 3
/
ATOMIC_SPECIES
Cr 52.00 Cr.upf
Ta 180.95 Ta.upf
Os 190.23 Os.upf
CELL_PARAMETERS angstrom
-2.061 -3.868 0.658
-3.819 -0.858 -2.079
-0.129 -3.021 -3.240
ATOMIC_POSITIONS angstrom
Cr -1.502 -1.937 -1.165
Ta -3.005 -3.874 -2.331
Ta 0.000 0.000 0.000
Os -4.507 -5.811 -3.496
! * calculated formation energy: -0.31 eV/atom
! * spin magnetization: 0.00 μB per cell



4.
! SmHg2 | the Materials Project database | r²SCAN | relaxed; values from VASP
&SYSTEM
  ibrav = 0, nat = 3, ntyp = 2
/
ATOMIC_SPECIES
Sm 150.36 Sm.upf
Hg 200.59 Hg.upf
CELL_PARAMETERS angstrom
0.000 0.000 -3.474
-2.480 -4.295 0.000
-2.480 4.295 0.000
ATOMIC_POSITIONS angstrom
Sm 0.000 0.000 0.000
Hg -2.480 -1.432 -1.739
Hg -2.480 1.432 -1.735
! * calculated formation energy: -0.51 eV/atom
! * spin magnetization: 0.16 μB per cell



5.
! Ce3PBr3 | the Materials Project database | r²SCAN | relaxed; values from VASP
&SYSTEM
  ibrav = 0, nat = 28, ntyp = 3
/
ATOMIC_SPECIES
Br 79.90 Br.upf
Ce 140.12 Ce.upf
P 30.97 P.upf
CELL_PARAMETERS angstrom
6.977 -3.782 6.604
-7.643 4.510 5.292
-3.851 -7.712 -5.737
ATOMIC_POSITIONS angstrom
Br -0.600 -4.453 4.821
Br -2.196 -8.442 -1.024
Br 0.360 -7.523 1.884
Br -3.204 -5.501 1.742
Br -1.345 -1.446 7.500
Br 2.082 -3.399 7.804
Br -3.469 -5.037 7.512
Br -2.620 -8.034 4.737
Br -6.193 -5.931 4.511
Br -7.791 -0.386 3.992
Br -4.232 -2.472 4.402
Br -6.908 -3.265 1.403
Ce 3.274 -6.542 2.215
Ce -1.328 -1.433 4.359
Ce -4.814 0.554 4.332
Ce 1.637 -1.126 1.653
Ce -6.540 -3.621 -1.636
Ce -3.867 -2.524 1.283
Ce -3.222 -5.491 -1.339
Ce -1.889 1.002 1.475
Ce 2.407 -3.775 4.699
Ce -0.250 -4.440 1.750
Ce -2.379 1.431 7.135
Ce -1.105 -1.962 -1.297
P -1.137 -1.746 1.539
P -5.119 0.691 7.156
P -5.921 -6.397 -1.434
P 3.140 -6.506 5.053
! * calculated formation energy: -1.90 eV/atom
! * spin magnetization: 15.30 μB per cell



6.
! CsMn4Cl9 | the Materials Project database | r²SCAN | relaxed; values from VASP
&SYSTEM
  ibrav = 0, nat = 28, ntyp = 3
/
ATOMIC_SPECIES
Mn 54.94 Mn.upf
Cl 35.45 Cl.upf
Cs 132.91 Cs.upf
CELL_PARAMETERS angstrom
4.295 -7.737 4.114
-8.313 2.982 4.152
-2.281 -2.651 -9.111
ATOMIC_POSITIONS angstrom
Mn 2.367 -7.560 0.106
Mn -2.723 -4.500 2.631
Mn -0.671 -8.457 -2.018
Mn -2.403 -5.254 -0.886
Mn -3.617 -2.955 -3.392
Mn -1.885 -6.158 -4.524
Mn 0.716 -4.261 1.070
Mn -4.374 -1.200 3.595
Cl -1.606 -3.365 0.589
Cl -1.431 -4.164 -3.024
Cl -1.003 -5.046 -6.525
Cl -6.613 -0.225 3.237
Cl -5.858 -1.962 -4.042
Cl -0.400 -5.396 3.112
Cl -4.290 -5.029 -4.978
Cl 0.002 -6.383 -0.432
Cl -4.537 -4.154 -1.459
Cl -3.285 -6.365 1.116
Cl 0.250 -7.257 -3.950
Cl -2.725 -1.713 -5.482
Cl -2.950 -0.965 -2.092
Cl -4.910 -3.291 2.264
Cl -3.351 -0.058 1.679
Cl -5.410 -2.488 5.589
Cl -3.707 -5.554 4.616
Cl -2.857 -7.247 -2.385
Cs 0.000 0.000 0.000
Cs -6.302 -1.023 -0.413
! * calculated formation energy: -1.70 eV/atom
! * spin magnetization: 40.00 μB per cell



7.
! PuSi3 | the Materials Project database | r²SCAN | relaxed; values from VASP
&SYSTEM
  ibrav = 0, nat = 8, ntyp = 2
/
ATOMIC_SPECIES
Pu 244.00 Pu.upf
Si 28.09 Si.upf
CELL_PARAMETERS angstrom
-5.520 2.074 -0.435
1.748 -4.492 -3.423
-1.314 -2.852 3.072
ATOMIC_POSITIONS angstrom
Pu -1.660 -4.443 -0.123
Pu -3.425 -0.828 -0.663
Si -0.616 -1.696 -0.268
Si 0.386 -4.271 -2.230
Si -5.471 -1.000 1.445
Si -4.469 -3.574 -0.517
Si -2.778 -3.083 -2.479
Si -2.307 -2.188 1.694
! * calculated formation energy: -0.35 eV/atom
! * spin magnetization: 9.96 μB per cell



8.
! YNi4As2 | the Materials Project database | r²SCAN | relaxed; values from VASP
&SYSTEM
  ibrav = 0, nat = 14, ntyp = 3
/
ATOMIC_SPECIES
Y 88.91 Y.upf
Ni 58.69 Ni.upf
As 74.92 As.upf
CELL_PARAMETERS angstrom
-6.640 -2.296 -1.606
1.431 -6.330 3.134
-1.250 1.333 3.263
ATOMIC_POSITIONS angstrom
Y -0.625 0.667 1.631
Y -2.604 -4.313 0.764
Ni -5.119 -6.227 0.583
Ni -0.090 -2.399 0.946
Ni -2.147 -5.640 3.625
Ni -2.177 -1.356 -0.280
Ni -5.659 -3.884 1.561
Ni -0.800 -3.409 3.230
Ni -3.032 -7.270 1.809
Ni -4.312 -1.653 1.166
As -0.331 -5.449 2.100
As -4.878 -3.177 -0.571
As -2.093 -1.764 2.062
As -4.366 -5.529 2.729
! * calculated formation energy: -0.65 eV/atom
! * spin magnetization: 0.00 μB per cell



9.
! Na2FeO2 | the Materials Project database | r²SCAN | relaxed; values from VASP
&SYSTEM
  ibrav = 0, nat = 10, ntyp = 3
/
ATOMIC_SPECIES
Na 22.99 Na.upf
Fe 55.84 Fe.upf
O 16.00 O.upf
CELL_PARAMETERS angstrom
0.842 -2.252 -1.737
-0.175 -2.134 5.215
-7.597 -2.256 -3.283
ATOMIC_POSITIONS angstrom
Na -4.420 -3.086 -3.200
Na -6.222 -3.617 -0.854
Na -0.709 -3.025 1.049
Na -2.511 -3.556 3.395
Fe 0.000 0.000 0.000
Fe -3.886 -2.195 0.966
O -6.583 -3.966 -3.106
O -4.058 -2.737 -0.948
O -0.347 -2.676 3.301
O -2.872 -3.905 1.143
! * calculated formation energy: -1.49 eV/atom
! * spin magnetization: 8.00 μB per cell



10.
! Yb3Ge13Ir4 | the Materials Project database | r²SCAN | relaxed; values from VASP
&SYSTEM
  ibrav = 0, nat = 40, ntyp = 3
/
ATOMIC_SPECIES
Yb 173.04 Yb.upf
Ge 72.64 Ge.upf
Ir 192.22 Ir.upf
CELL_PARAMETERS angstrom
-2.853 3.821 -7.549
-8.379 -2.381 1.962
-1.174 7.710 4.346
ATOMIC_POSITIONS angstrom
Yb -4.483 0.737 2.067
Yb -1.300 4.810 0.286
Yb -2.727 6.721 -3.488
Yb -5.070 4.592 4.241
Yb -3.521 1.315 -3.284
Yb -7.711 0.124 -2.303
Ge -6.209 -1.101 0.276
Ge -6.525 3.058 1.984
Ge -7.990 3.297 4.689
Ge -8.613 2.737 -0.639
Ge -8.244 1.625 -5.109
Ge -2.143 3.750 -4.602
Ge 0.000 0.000 0.000
Ge -2.013 4.996 3.290
Ge -4.124 3.740 1.422
Ge -6.203 4.575 -0.620
Ge -1.562 2.032 1.619
Ge -5.023 2.540 -5.863
Ge -3.792 6.413 -0.601
Ge -5.880 6.092 -3.225
Ge -6.250 2.749 -3.040
Ge -8.282 5.409 -2.662
Ge -6.155 6.400 1.799
Ge -8.950 4.947 0.606
Ge -7.539 0.333 3.018
Ge -2.981 9.250 -1.502
Ge -5.433 1.654 -0.876
Ge -1.046 2.281 -1.700
Ge -3.456 4.203 -1.847
Ge -1.884 7.781 1.400
Ge -6.973 7.495 -0.364
Ge -2.988 -0.185 -0.478
Ir -7.878 4.952 2.844
Ir -4.528 4.198 -4.084
Ir -8.717 3.007 -3.103
Ir -3.101 2.287 -0.310
Ir -5.115 8.053 -1.911
Ir -9.304 6.862 -0.930
Ir -7.291 1.097 0.671
Ir -3.688 6.143 1.863
! * calculated formation energy: -0.50 eV/atom
! * spin magnetization: 0.00 μB per cell



11.
! Sc2CCl2 | the Materials Project database | r²SCAN | relaxed; values from VASP
&SYSTEM
  ibrav = 0, nat = 5, ntyp = 3
/
ATOMIC_SPECIES
Sc 44.96 Sc.upf
C 12.01 C.upf
Cl 35.45 Cl.upf
CELL_PARAMETERS angstrom
-2.132 1.999 1.822
-0.954 -1.161 -3.099
-4.001 -8.182 4.297
ATOMIC_POSITIONS angstrom
Sc -2.859 -3.199 0.165
Sc -4.229 -4.145 2.855
C -2.001 -4.091 2.149
Cl -2.590 -0.793 1.095
Cl -4.498 -6.551 1.926
! * calculated formation energy: -1.76 eV/atom
! * spin magnetization: 0.00 μB per cell



12.
! LaSmTl2 | the Materials Project database | r²SCAN | relaxed; values from VASP
&SYSTEM
  ibrav = 0, nat = 4, ntyp = 3
/
ATOMIC_SPECIES
La 138.91 La.upf
Tl 204.38 Tl.upf
Sm 150.36 Sm.upf
CELL_PARAMETERS angstrom
0.000 3.914 3.914
3.914 0.000 3.914
3.914 3.914 0.000
ATOMIC_POSITIONS angstrom
La 3.914 3.914 3.914
Tl 1.957 1.957 1.957
Tl 5.870 5.870 5.870
Sm 0.000 0.000 0.000
! * calculated formation energy: -0.52 eV/atom
! * spin magnetization: 0.00 μB per cell



13.
! Yb2ZnHg | the Materials Project database | r²SCAN | relaxed; values from VASP
&SYSTEM
  ibrav = 0, nat = 4, ntyp = 3
/
ATOMIC_SPECIES
Yb 173.04 Yb.upf
Zn 65.41 Zn.upf
Hg 200.59 Hg.upf
CELL_PARAMETERS angstrom
-4.535 -0.222 -2.174
-3.424 3.566 0.949
-1.240 3.315 -3.579
ATOMIC_POSITIONS angstrom
Yb -2.300 1.665 -1.201
Yb -6.899 4.994 -3.603
Zn 0.000 0.000 0.000
Hg -4.599 3.330 -2.402
! * calculated formation energy: -0.48 eV/atom
! * spin magnetization: 0.00 μB per cell



14.
! MgP2O6 | the Materials Project database | r²SCAN | relaxed; values from VASP
&SYSTEM
  ibrav = 0, nat = 36, ntyp = 3
/
ATOMIC_SPECIES
O 16.00 O.upf
Mg 24.30 Mg.upf
P 30.97 P.upf
CELL_PARAMETERS angstrom
-1.550 -5.074 4.824
5.915 -3.727 1.593
3.577 1.940 9.074
ATOMIC_POSITIONS angstrom
O 7.286 -2.984 7.579
O 3.900 -0.351 7.162
O 5.441 -4.624 7.608
O 2.502 -2.237 7.882
O 4.353 -6.057 5.835
O 2.867 -2.818 2.413
O 0.903 -1.539 3.147
O 6.354 -3.292 11.038
O -0.187 -4.980 5.502
O 5.391 -2.810 5.860
O 3.590 -0.804 9.656
O 3.331 -2.535 12.063
O 5.076 -4.043 13.078
O 0.657 -3.877 7.912
O 2.552 -4.051 9.631
O 3.005 -1.557 4.598
O 8.130 -1.881 9.989
O 4.989 -2.309 8.292
O 2.954 -4.552 7.198
O 4.938 -5.304 10.893
O 1.589 -3.570 4.453
O 4.043 -6.510 8.329
O 7.039 -5.322 12.343
O 4.612 -4.326 3.428
Mg 4.746 -0.893 5.333
Mg -0.775 -2.537 2.412
Mg 6.408 -3.314 4.035
Mg 1.535 -3.547 11.455
P 5.870 -3.138 7.249
P 5.848 -4.594 11.795
P 2.095 -2.267 3.696
P 2.072 -3.723 8.242
P 3.742 -1.322 8.294
P 4.201 -5.539 7.196
P 0.530 -4.750 4.249
P 7.413 -2.111 11.242
! * calculated formation energy: -2.62 eV/atom
! * spin magnetization: 0.00 μB per cell



15.
! CuPO4 | the Materials Project database | r²SCAN | relaxed; values from VASP
&SYSTEM
  ibrav = 0, nat = 24, ntyp = 3
/
ATOMIC_SPECIES
Cu 63.55 Cu.upf
O 16.00 O.upf
P 30.97 P.upf
CELL_PARAMETERS angstrom
-5.255 5.468 -3.902
1.599 -1.402 -4.118
-3.549 -5.858 -3.428
ATOMIC_POSITIONS angstrom
Cu -1.828 2.033 -4.010
Cu -0.975 -3.630 -3.773
Cu 0.000 0.000 0.000
Cu -4.402 -0.195 -3.665
O -2.207 -3.923 -5.099
O -5.597 -2.021 -7.189
O -4.999 2.132 -6.349
O -7.111 -0.131 -6.616
O -5.012 0.741 -8.498
O -4.730 3.918 -4.699
O -4.193 1.608 -4.053
O -2.154 -1.268 -6.114
O -1.609 0.230 -4.259
O -0.094 -1.660 -4.831
O -2.475 -5.709 -6.749
O -2.193 -2.532 -2.950
O -1.718 1.749 -2.201
O -5.488 -3.540 -9.247
O -3.013 -3.399 -7.394
O -5.052 -0.523 -5.333
P -6.216 -1.247 -6.008
P -5.202 2.473 -4.859
P -2.004 -4.265 -6.589
P -0.990 -0.544 -5.440
! * calculated formation energy: -1.60 eV/atom
! * spin magnetization: 0.00 μB per cell



Calculated volume
In order: 672; 93; 62; 74; 851; 708; 133; 194; 134; 712; 103; 120; 90; 420; 267
Unit: Å³ per cell